(1)
A relaxed Na3Zr2Si2PO12 crystal, computed with PBE.

a = 9.1367 Å, b = 9.1670 Å, c = 9.3097 Å
α = 61.42°, β = 61.11°, γ = 60.31°
Sites, in units of the cell vectors:
Na  0.0000  0.0000  0.0000
Na  0.0394  0.4130  0.7116
Na  0.2249  0.7912  0.4866
Na  0.3592  0.3107  0.9119
Na  0.5460  0.1116  0.3482
Na  0.6629  0.7033  0.1501
Zr  0.2543  0.5547  0.2953
Zr  0.4617  0.7548  0.6793
Zr  0.7695  0.0449  0.7930
Zr  0.9645  0.2462  0.1867
Si  0.0785  0.6480  0.9765
Si  0.1430  0.1522  0.5052
Si  0.3617  0.9332  0.9979
Si  0.8623  0.8669  0.4780
P  0.5635  0.4406  0.4935
P  0.6538  0.3617  0.9847
O  0.0354  0.6841  0.4675
O  0.0367  0.4709  0.0304
O  0.0848  0.1658  0.3560
O  0.1311  0.6397  0.1270
O  0.1897  0.1171  0.0155
O  0.1955  0.3223  0.4516
O  0.2474  0.6560  0.7972
O  0.3231  0.9742  0.5150
O  0.3487  0.7696  0.1819
O  0.3594  0.8799  0.8545
O  0.3862  0.4605  0.4905
O  0.5029  0.3993  0.1518
O  0.5410  0.9736  0.9423
O  0.5466  0.6195  0.4896
O  0.6029  0.2893  0.6569
O  0.6170  0.5163  0.8234
O  0.6596  0.1893  0.9843
O  0.6771  0.8392  0.5342
O  0.7164  0.4009  0.3276
O  0.8346  0.3319  0.9893
O  0.8633  0.9248  0.6196
O  0.8788  0.0283  0.2926
O  0.8972  0.8227  0.9633
O  0.9827  0.1344  0.6914

## Properties
SG: P1
Energy above the most stable polymorph in this dataset: 4 meV per atom
VASP energy: -0.556 Ry per atom
Energy relative to the elements: -3.145 eV/atom



(2)
A relaxed DyCuSn crystal, computed with PBE.

a = 4.5423 Å, b = 4.5423 Å, c = 7.2850 Å
α = 90.00°, β = 90.00°, γ = 120.00°
Sites, in units of the cell vectors:
Dy  0.0000  0.0000  0.0000
Dy  0.0000  0.0000  0.5000
Cu  0.3333  0.6667  0.1817
Cu  0.6667  0.3333  0.6817
Sn  0.3333  0.6667  0.7698
Sn  0.6667  0.3333  0.2698

## Properties
SG: P6_3mc
VASP energy: -0.356 Ry per atom
Energy relative to the elements: -0.602 eV/atom



(3)
A relaxed SnSe crystal, computed with PBE.

a = 5.9460 Å, b = 5.9460 Å, c = 6.1251 Å
α = 90.00°, β = 90.00°, γ = 140.67°
Sites, in units of the cell vectors:
Sn  0.1610  0.8390  0.7500
Sn  0.8390  0.1610  0.2500
Se  0.1686  0.8314  0.2500
Se  0.8314  0.1686  0.7500

## Properties
SG: Cmcm
VASP energy: -0.302 Ry per atom
Energy relative to the elements: -0.593 eV/atom



(4)
A relaxed BeCuO3 crystal, computed with PBE.

a = 3.4618 Å, b = 3.4618 Å, c = 3.4618 Å
α = 90.00°, β = 90.00°, γ = 90.00°
Sites, in units of the cell vectors:
Be  0.0000  0.0000  0.0000
Cu  0.5000  0.5000  0.5000
O  0.0000  0.0000  0.5000
O  0.0000  0.5000  0.0000
O  0.5000  0.0000  0.0000

## Properties
SG: Pm-3m
VASP energy: -0.364 Ry per atom
Energy relative to the elements: -0.822 eV/atom



(5)
A relaxed BaBiO3 crystal, computed with PBE.

a = 4.4365 Å, b = 4.4365 Å, c = 4.4365 Å
α = 90.07°, β = 90.07°, γ = 90.07°
Sites, in units of the cell vectors:
Ba  0.0000  0.0000  0.0000
Bi  0.5000  0.5000  0.5000
O  0.0000  0.4891  0.5109
O  0.4891  0.5109  0.0000
O  0.5109  0.0000  0.4891

## Properties
SG: R32
VASP energy: -0.436 Ry per atom
Energy relative to the elements: -2.211 eV/atom



(6)
A relaxed CrCu3PbSe4 crystal, computed with PBE.

a = 6.0148 Å, b = 6.0148 Å, c = 6.0148 Å
α = 90.00°, β = 90.00°, γ = 90.00°
Sites, in units of the cell vectors:
Cr  0.0000  0.0000  0.0000
Cu  0.0000  0.0000  0.5000
Cu  0.0000  0.5000  0.0000
Cu  0.5000  0.0000  0.0000
Pb  0.5000  0.5000  0.5000
Se  0.2278  0.2278  0.2278
Se  0.2278  0.7722  0.7722
Se  0.7722  0.2278  0.7722
Se  0.7722  0.7722  0.2278

## Properties
SG: P-43m
VASP energy: -0.337 Ry per atom
Energy relative to the elements: -0.385 eV/atom



(7)
A relaxed AsS4N3 crystal, computed with PBE.

a = 7.5837 Å, b = 8.4631 Å, c = 16.6401 Å
α = 90.00°, β = 90.00°, γ = 90.00°
Sites, in units of the cell vectors:
As  0.0949  0.2500  0.0754
As  0.4051  0.7500  0.5754
As  0.5949  0.2500  0.4246
As  0.9051  0.7500  0.9246
S  0.1138  0.7500  0.7166
S  0.1225  0.2500  0.5672
S  0.1316  0.0494  0.4992
S  0.1316  0.4506  0.4992
S  0.3684  0.5494  0.9992
S  0.3684  0.9506  0.9992
S  0.3775  0.7500  0.0672
S  0.3862  0.2500  0.2166
S  0.6138  0.7500  0.7834
S  0.6225  0.2500  0.9328
S  0.6316  0.0494  0.0008
S  0.6316  0.4506  0.0008
S  0.8684  0.5494  0.5008
S  0.8684  0.9506  0.5008
S  0.8775  0.7500  0.4328
S  0.8862  0.2500  0.2834
N  0.0089  0.6841  0.2097
N  0.0089  0.8159  0.2097
N  0.2441  0.2500  0.1499
N  0.2559  0.7500  0.6499
N  0.4911  0.1841  0.7097
N  0.4911  0.3159  0.7097
N  0.5089  0.6841  0.2903
N  0.5089  0.8159  0.2903
N  0.7441  0.2500  0.3501
N  0.7559  0.7500  0.8501
N  0.9911  0.1841  0.7903
N  0.9911  0.3159  0.7903

## Properties
SG: Pnma
Energy above the most stable polymorph in this dataset: 0 meV per atom
VASP energy: -0.402 Ry per atom
Energy relative to the elements: 0.178 eV/atom



(8)
A relaxed SnC2O4 crystal, computed with PBE.

a = 6.0244 Å, b = 6.0244 Å, c = 8.5011 Å
α = 120.34°, β = 120.34°, γ = 57.54°
Sites, in units of the cell vectors:
Sn  0.1017  0.8983  0.7500
Sn  0.8983  0.1017  0.2500
C  0.0964  0.5062  0.9684
C  0.4938  0.9036  0.5316
C  0.5062  0.0964  0.4684
C  0.9036  0.4938  0.0316
O  0.1221  0.7382  0.0373
O  0.2152  0.2888  0.8541
O  0.2618  0.8779  0.4627
O  0.2888  0.2152  0.3541
O  0.7112  0.7848  0.6459
O  0.7382  0.1221  0.5373
O  0.7848  0.7112  0.1459
O  0.8779  0.2618  0.9627

## Properties
SG: C2/c
VASP energy: -0.531 Ry per atom
Energy relative to the elements: -1.578 eV/atom



(9)
A relaxed Mg14ZnGa crystal, computed with PBE.

a = 10.2999 Å, b = 6.2557 Å, c = 6.2557 Å
α = 60.71°, β = 90.00°, γ = 90.00°
Sites, in units of the cell vectors:
Mg  0.0000  0.0000  0.0000
Mg  0.0000  0.0012  0.5014
Mg  0.0000  0.4998  0.4998
Mg  0.0000  0.5014  0.0012
Mg  0.2509  0.1662  0.1662
Mg  0.2519  0.6660  0.6660
Mg  0.2573  0.1707  0.6695
Mg  0.2573  0.6695  0.1707
Mg  0.5000  0.9999  0.4991
Mg  0.5000  0.4991  0.9999
Mg  0.7427  0.1707  0.6695
Mg  0.7427  0.6695  0.1707
Mg  0.7481  0.6660  0.6660
Mg  0.7491  0.1662  0.1662
Zn  0.5000  0.5008  0.5008
Ga  0.5000  0.0014  0.0014

## Properties
SG: Amm2
Energy above the most stable polymorph in this dataset: 2 meV per atom
VASP energy: -0.124 Ry per atom
Energy relative to the elements: -0.022 eV/atom



(10)
A relaxed SrEuSnSbO6 crystal, computed with PBE.

a = 5.8996 Å, b = 5.8996 Å, c = 5.8996 Å
α = 60.00°, β = 60.00°, γ = 60.00°
Sites, in units of the cell vectors:
Sr  0.0000  0.0000  0.0000
Eu  0.5000  0.5000  0.5000
Sn  0.7500  0.7500  0.7500
Sb  0.2500  0.2500  0.2500
O  0.0010  0.0010  0.4990
O  0.0010  0.4990  0.0010
O  0.0010  0.4990  0.4990
O  0.4990  0.0010  0.0010
O  0.4990  0.0010  0.4990
O  0.4990  0.4990  0.0010

## Properties
SG: F-43m
VASP energy: -0.516 Ry per atom
Energy relative to the elements: -2.449 eV/atom



(11)
A relaxed Ho2Al9Pd3 crystal, computed with PBE.

a = 7.6398 Å, b = 7.6398 Å, c = 9.4216 Å
α = 90.00°, β = 90.00°, γ = 60.31°
Sites, in units of the cell vectors:
Ho  0.0054  0.6695  0.7500
Ho  0.3305  0.9946  0.7500
Ho  0.6695  0.0054  0.2500
Ho  0.9946  0.3305  0.2500
Al  0.0000  0.3342  0.5766
Al  0.0000  0.3342  0.9234
Al  0.0000  0.6658  0.0766
Al  0.0000  0.6658  0.4234
Al  0.1268  0.8732  0.2500
Al  0.3342  0.0000  0.0766
Al  0.3342  0.0000  0.4234
Al  0.3336  0.6664  0.5603
Al  0.3336  0.6664  0.9397
Al  0.3370  0.4536  0.2500
Al  0.4536  0.3370  0.7500
Al  0.5464  0.6630  0.2500
Al  0.6630  0.5464  0.7500
Al  0.6658  0.0000  0.5766
Al  0.6658  0.0000  0.9234
Al  0.6664  0.3336  0.0603
Al  0.6664  0.3336  0.4397
Al  0.8732  0.1268  0.7500
Pd  0.0000  0.0000  0.0000
Pd  0.0000  0.0000  0.5000
Pd  0.3284  0.3284  0.0000
Pd  0.3284  0.3284  0.5000
Pd  0.6716  0.6716  0.0000
Pd  0.6716  0.6716  0.5000

## Properties
SG: Cmcm
VASP energy: -0.357 Ry per atom
Energy relative to the elements: -0.685 eV/atom



(12)
A relaxed Ti3As4O16 crystal, computed with PBE.

a = 9.1175 Å, b = 4.9487 Å, c = 16.4166 Å
α = 90.00°, β = 112.39°, γ = 90.00°
Sites, in units of the cell vectors:
Ti  0.0000  0.0000  0.0000
Ti  0.0000  0.5000  0.5000
Ti  0.3125  0.0268  0.6277
Ti  0.3125  0.4732  0.1277
Ti  0.6875  0.5268  0.8723
Ti  0.6875  0.9732  0.3723
As  0.0674  0.0623  0.3995
As  0.0674  0.4377  0.8995
As  0.4265  0.0165  0.8507
As  0.4265  0.4835  0.3507
As  0.5735  0.5165  0.6493
As  0.5735  0.9835  0.1493
As  0.9326  0.5623  0.1005
As  0.9326  0.9377  0.6005
O  0.0301  0.7239  0.4134
O  0.0301  0.7761  0.9134
O  0.1102  0.7242  0.0936
O  0.1102  0.7758  0.5936
O  0.1190  0.1402  0.3176
O  0.1190  0.3598  0.8176
O  0.1781  0.2107  0.5052
O  0.1781  0.2893  0.0052
O  0.3057  0.5021  0.2391
O  0.3057  0.9979  0.7391
O  0.3519  0.6010  0.4195
O  0.3519  0.8990  0.9195
O  0.4023  0.1401  0.1524
O  0.4023  0.3599  0.6524
O  0.4801  0.6601  0.1252
O  0.4801  0.8399  0.6252
O  0.5199  0.1601  0.3748
O  0.5199  0.3399  0.8748
O  0.5977  0.6401  0.3476
O  0.5977  0.8599  0.8476
O  0.6481  0.1010  0.0805
O  0.6481  0.3990  0.5805
O  0.6943  0.0021  0.2609
O  0.6943  0.4979  0.7609
O  0.8219  0.7107  0.9948
O  0.8219  0.7893  0.4948
O  0.8810  0.6402  0.1824
O  0.8810  0.8598  0.6824
O  0.8898  0.2242  0.4064
O  0.8898  0.2758  0.9064
O  0.9699  0.2239  0.0866
O  0.9699  0.2761  0.5866

## Properties
SG: P2_1/c
VASP energy: -0.513 Ry per atom
Energy relative to the elements: -2.173 eV/atom



(13)
A relaxed Gd2SnS5 crystal, computed with PBE.

a = 7.7980 Å, b = 11.3799 Å, c = 3.8589 Å
α = 90.00°, β = 90.00°, γ = 90.00°
Sites, in units of the cell vectors:
Gd  0.0361  0.1726  0.0000
Gd  0.4639  0.6726  0.0000
Gd  0.5361  0.3274  0.0000
Gd  0.9639  0.8274  0.0000
Sn  0.0000  0.5000  0.5000
Sn  0.5000  0.0000  0.5000
S  0.0000  0.0000  0.5000
S  0.1714  0.6965  0.5000
S  0.1737  0.4068  0.0000
S  0.3263  0.9068  0.0000
S  0.3286  0.1965  0.5000
S  0.5000  0.5000  0.5000
S  0.6714  0.8035  0.5000
S  0.6737  0.0932  0.0000
S  0.8263  0.5932  0.0000
S  0.8286  0.3035  0.5000

## Properties
SG: Pbam
VASP energy: -0.590 Ry per atom
Energy relative to the elements: -1.741 eV/atom



(14)
A relaxed Pb4SeBr6 crystal, computed with PBE.

a = 9.7479 Å, b = 9.7479 Å, c = 9.7479 Å
α = 154.07°, β = 69.22°, γ = 117.10°
Sites, in units of the cell vectors:
Pb  0.0000  0.0000  0.0000
Pb  0.4566  0.9566  0.5000
Pb  0.4584  0.2178  0.2406
Pb  0.9772  0.2178  0.7594
Se  0.2789  0.2789  0.0000
Br  0.1643  0.5282  0.6361
Br  0.2262  0.9178  0.3085
Br  0.5800  0.7024  0.8776
Br  0.6093  0.9178  0.6915
Br  0.8248  0.7024  0.1224
Br  0.8922  0.5282  0.3639

## Properties
SG: Imm2
VASP energy: -0.248 Ry per atom
Energy relative to the elements: -1.106 eV/atom



(15)
A relaxed ZnSnS3 crystal, computed with PBE.

a = 6.8601 Å, b = 6.8601 Å, c = 6.8601 Å
α = 55.94°, β = 55.94°, γ = 55.94°
Sites, in units of the cell vectors:
Zn  0.0000  0.0000  0.0000
Zn  0.5000  0.5000  0.5000
Sn  0.2853  0.2853  0.2853
Sn  0.7853  0.7853  0.7853
S  0.1017  0.3799  0.6981
S  0.1981  0.8799  0.6017
S  0.3799  0.6981  0.1017
S  0.6017  0.1981  0.8799
S  0.6981  0.1017  0.3799
S  0.8799  0.6017  0.1981

## Properties
SG: R3c
VASP energy: -0.288 Ry per atom
Energy relative to the elements: -0.682 eV/atom



(16)
A relaxed Cd3Fe2Cu10Sn5Se20 crystal, computed with PBE.

a = 21.4216 Å, b = 7.0906 Å, c = 21.0389 Å
α = 83.45°, β = 19.20°, γ = 77.35°
Sites, in units of the cell vectors:
Cd  0.0002  0.0002  0.9998
Cd  0.3999  0.6001  0.3999
Cd  0.6001  0.3999  0.6001
Fe  0.2000  0.7999  0.2001
Fe  0.7999  0.2000  0.8000
Cu  0.0500  0.4502  0.0499
Cu  0.1490  0.3512  0.1518
Cu  0.2499  0.2499  0.2501
Cu  0.3512  0.1490  0.3480
Cu  0.4502  0.0500  0.4498
Cu  0.5502  0.9501  0.5498
Cu  0.6520  0.8482  0.6488
Cu  0.7499  0.7499  0.7501
Cu  0.8482  0.6520  0.8510
Cu  0.9501  0.5502  0.9500
Sn  0.0999  0.8986  0.1014
Sn  0.3002  0.7014  0.2986
Sn  0.5000  0.5000  0.5000
Sn  0.7014  0.3002  0.6998
Sn  0.8986  0.0999  0.9001
Se  0.0205  0.7142  0.2858
Se  0.0975  0.1665  0.3027
Se  0.1141  0.6202  0.3798
Se  0.1665  0.0975  0.4333
Se  0.2070  0.5093  0.4907
Se  0.2878  0.9972  0.5119
Se  0.3093  0.4072  0.5928
Se  0.3971  0.8866  0.6029
Se  0.4072  0.3093  0.6907
Se  0.4881  0.7969  0.7122
Se  0.5093  0.2070  0.7930
Se  0.5667  0.6973  0.8335
Se  0.6202  0.1141  0.8859
Se  0.6973  0.5667  0.9025
Se  0.7142  0.0205  0.9795
Se  0.7969  0.4881  0.0028
Se  0.8069  0.9092  0.0908
Se  0.8866  0.3971  0.1134
Se  0.9092  0.8069  0.1931
Se  0.9972  0.2878  0.2031

## Properties
SG: Fmm2
VASP energy: -0.295 Ry per atom
Energy relative to the elements: -0.490 eV/atom